# 1
28
Lattice="-1.546 -6.046 0.007 0.335 -3.459 -5.183 9.983 -2.677 2.284" Properties=species:S:1:pos:R:3 comment="GGA-PBE Li4Nb3Cu3Te2O16, optimized geometry" crystal_system=monoclinic final_energy_ev_per_atom=-6.5394 energy_corrected_mp2020_ev_per_atom=-6.9320 e_form_kcal_per_mol_atoms=-48.1 vol_a3_per_atom=12.55 pbc="T T T"
O 7.398 -5.417 1.839
O 5.673 -4.900 -0.385
O 0.384 -6.684 -3.191
O 1.685 -10.269 -4.507
O 2.907 -7.598 -4.372
O 7.540 -6.850 -0.680
O 0.962 -3.445 -3.172
O 8.374 -4.076 -0.853
O 0.014 -4.749 -0.557
O 5.027 -9.805 -3.064
O 2.045 -8.782 -1.995
O 2.918 -5.916 -1.890
O 0.751 -1.810 -0.630
O 4.690 -7.569 -0.296
O 8.097 -2.182 1.847
O 5.623 -6.286 -2.870
Cu 6.988 -3.516 0.781
Cu 1.867 -5.472 -3.806
Cu 0.944 -6.740 -1.261
Nb 6.213 -6.445 0.825
Nb 1.365 -8.420 -3.701
Nb 7.151 -5.156 -1.762
Li 8.227 -8.752 -1.379
Li 3.587 -4.324 -0.855
Li 0.004 -0.007 -0.002
Li 4.762 -1.352 1.052
Te -0.226 -3.139 -1.646
Te 4.142 -7.389 -2.181



# 2
20
Lattice="-5.599 -3.037 1.031 3.494 -3.356 -4.301 3.299 0.420 5.610" Properties=species:S:1:pos:R:3 comment="GGA-PBE LiTi3NbCu3O12, optimized geometry" crystal_system=triclinic final_energy_ev_per_atom=-7.4590 energy_corrected_mp2020_ev_per_atom=-7.8712 e_form_kcal_per_mol_atoms=-57.7 vol_a3_per_atom=10.54 pbc="T T T"
O 3.165 -3.027 -1.646
O -1.969 -2.968 4.048
O 4.344 -2.494 2.071
O 1.699 -1.381 1.594
O -0.469 -4.596 0.726
O 0.611 -3.502 3.103
O -1.087 -1.955 1.483
O -0.250 -4.938 -2.015
O 2.242 -4.047 0.909
O 1.454 -0.991 4.364
O -3.071 -3.491 0.237
O 0.569 -2.503 -0.773
Cu 2.321 -4.669 -0.965
Cu 2.231 -2.767 3.963
Cu -2.180 -4.508 1.674
Nb 0.463 -1.114 6.096
Ti -0.588 -4.217 4.432
Ti 0.558 -2.884 1.090
Ti 5.035 -3.139 -1.566
Li 0.739 -5.595 1.968



# 3
20
Lattice="-0.161 0.830 -2.758 -3.102 -4.662 -1.221 -10.561 6.364 2.530" Properties=species:S:1:pos:R:3 comment="GGA-PBE LiCu2O2, optimized geometry" crystal_system=orthorhombic final_energy_ev_per_atom=-4.9580 energy_corrected_mp2020_ev_per_atom=-5.2328 e_form_kcal_per_mol_atoms=-28.4 vol_a3_per_atom=10.40 pbc="T T T"
Cu -5.569 -1.839 -2.491
Cu -6.197 -0.157 -0.440
Cu -12.341 2.264 -0.862
Cu -3.858 0.395 -1.918
Cu -7.626 2.688 -1.009
Cu -9.966 2.136 0.470
Cu -1.482 0.268 -0.587
Cu -8.254 4.370 1.042
O -5.437 1.310 -1.551
O -4.025 -2.806 -2.872
O -2.240 -0.494 -2.280
O -7.106 -0.827 -2.097
O -8.386 1.221 0.103
O -6.718 3.359 0.648
O -9.798 5.338 1.423
O -11.584 3.025 0.832
Li -4.971 2.308 0.230
Li -11.056 4.816 -0.169
Li -2.767 -2.285 -1.280
Li -8.852 0.223 -1.679



# 4
16
Lattice="3.873 4.208 0.000 -3.873 4.208 0.000 0.000 4.208 4.821" Properties=species:S:1:pos:R:3 comment="GGA-PBE LiCu3O4, optimized geometry" crystal_system=monoclinic final_energy_ev_per_atom=-5.0569 energy_corrected_mp2020_ev_per_atom=-5.4004 e_form_kcal_per_mol_atoms=-26.5 vol_a3_per_atom=9.82 pbc="T T T"
Cu 0.000 4.208 0.000
Cu 1.936 4.208 2.410
Cu -1.936 4.208 2.410
Cu -1.936 2.104 0.000
Cu 0.000 6.312 2.410
Cu 1.936 2.104 0.000
O -1.851 6.067 2.880
O -0.011 8.218 2.202
O 0.011 4.406 2.619
O -1.851 8.661 4.350
O 0.011 10.322 4.612
O 1.851 3.963 0.470
O -0.011 2.302 0.209
O 1.851 6.557 1.940
Li 0.000 2.104 2.410
Li 0.000 0.000 0.000



# 5
6
Lattice="1.747 -4.567 0.000 1.747 4.567 0.000 0.000 0.000 4.811" Properties=species:S:1:pos:R:3 comment="GGA-PBE LiCuO, optimized geometry" crystal_system=orthorhombic final_energy_ev_per_atom=-4.7605 energy_corrected_mp2020_ev_per_atom=-4.9895 e_form_kcal_per_mol_atoms=-30.8 vol_a3_per_atom=12.80 pbc="T T T"
Cu 0.000 0.000 2.405
Cu 0.000 0.000 0.000
O 1.747 -3.162 1.203
O 1.747 3.162 3.608
Li 1.747 -2.074 3.608
Li 1.747 2.074 1.203



# 6
28
Lattice="15.743 7.803 6.159 13.468 12.308 3.712 -15.877 -9.390 -2.527" Properties=species:S:1:pos:R:3 comment="GGA-PBE LiCu3O3, optimized geometry" crystal_system=tetragonal final_energy_ev_per_atom=-4.9711 energy_corrected_mp2020_ev_per_atom=-5.2656 e_form_kcal_per_mol_atoms=-25.7 vol_a3_per_atom=10.34 pbc="T T T"
O 0.969 2.955 1.327
O 7.195 4.954 2.432
O 5.061 2.737 3.549
O 3.923 4.990 2.326
O 14.605 10.055 4.936
O 22.015 15.157 7.440
O 11.227 10.018 4.794
O 12.364 7.765 6.017
O 2.106 0.703 2.551
O 0.000 0.000 0.000
O 9.409 5.731 5.019
O 8.272 7.984 3.795
Cu 3.582 1.719 3.049
Cu 2.444 3.971 1.826
Cu 9.751 9.002 4.295
Cu 10.889 6.750 5.519
Cu 27.082 18.645 9.152
Cu 2.128 1.465 0.719
Cu -1.205 1.459 0.593
Cu 7.235 4.234 4.284
Cu 6.098 6.487 3.061
Cu 19.764 13.607 6.679
Cu 9.446 6.503 3.192
Cu -0.067 -0.794 1.816
Li 23.690 16.310 8.006
Li 12.833 8.835 4.337
Li 5.520 3.800 1.865
Li 16.377 11.275 5.535



# 7
14
Lattice="-0.998 -1.405 3.571 1.961 -3.358 -0.773 7.617 3.628 3.557" Properties=species:S:1:pos:R:3 comment="GGA-PBE LiCu3O3, optimized geometry" crystal_system=tetragonal final_energy_ev_per_atom=-4.9681 energy_corrected_mp2020_ev_per_atom=-5.2625 e_form_kcal_per_mol_atoms=-25.7 vol_a3_per_atom=10.28 pbc="T T T"
Cu 5.514 2.161 4.594
Cu 0.000 0.000 0.000
Cu 3.808 1.814 1.779
Cu 0.481 -2.382 1.399
Cu 4.290 -0.568 3.177
Cu 2.584 -0.915 0.362
O 4.882 0.179 1.436
O 3.216 1.067 3.520
O 6.069 2.891 2.834
O 6.551 0.509 4.233
O 1.547 0.737 0.723
O 2.029 -1.645 2.121
Li 6.656 1.024 2.264
Li 1.442 0.222 2.692



# 8
40
Lattice="-4.419 1.154 3.507 -1.217 -5.619 0.315 7.603 -1.089 9.936" Properties=species:S:1:pos:R:3 comment="GGA-PBE LiCu2O2, optimized geometry" crystal_system=tetragonal final_energy_ev_per_atom=-4.9578 energy_corrected_mp2020_ev_per_atom=-5.2326 e_form_kcal_per_mol_atoms=-28.4 vol_a3_per_atom=10.41 pbc="T T T"
Li 1.567 -2.994 5.262
Li -0.584 0.217 1.618
Li 1.845 -1.415 7.517
Li 6.741 -2.452 9.299
Li 1.221 -4.297 7.679
Li -2.736 0.779 3.326
Li 6.148 -5.188 9.453
Li -0.699 -2.403 7.061
O 3.617 -0.132 11.603
O -1.700 -0.999 2.914
O -2.285 -3.703 3.066
O -0.189 -4.265 1.165
O 1.271 0.213 8.710
O 2.683 -1.778 3.965
O 0.587 -1.218 5.867
O 0.551 -2.580 8.720
O 2.897 -2.926 11.613
O 0.397 -1.559 1.013
O 5.745 -0.688 9.914
O -0.044 -4.132 6.030
O 3.563 -0.385 6.891
O 2.052 -4.694 4.129
O 5.023 -3.481 9.925
O 2.842 -3.178 6.901
Cu 4.330 -1.820 10.781
Cu 4.658 -0.538 8.388
Cu -0.564 -1.119 4.384
Cu -1.168 -3.906 4.540
Cu 3.643 -4.878 6.194
Cu -0.965 -2.627 2.030
Cu -0.278 0.431 6.617
Cu 1.548 -1.658 2.496
Cu -3.157 -2.055 3.770
Cu 3.727 -4.607 10.937
Cu 1.738 -2.756 10.167
Cu 0.934 -4.491 2.655
Cu 4.256 -2.047 6.035
Cu 1.949 -0.150 4.849
Cu 2.430 0.044 10.157
Cu 3.929 -3.328 8.427



# 9
7
Lattice="4.059 0.000 0.000 0.000 4.059 0.000 0.000 0.000 4.059" Properties=species:S:1:pos:R:3 comment="GGA-PBE LiCu3O3, optimized geometry" crystal_system=cubic final_energy_ev_per_atom=-4.9572 energy_corrected_mp2020_ev_per_atom=-5.2516 e_form_kcal_per_mol_atoms=-25.4 vol_a3_per_atom=9.56 pbc="T T T"
Cu 0.000 2.030 0.000
Cu 0.000 0.000 2.030
Cu 2.030 0.000 0.000
O 2.030 2.030 0.000
O 0.000 2.030 2.030
O 2.030 0.000 2.030
Li 2.030 2.030 2.030



# 10
13
Lattice="1.764 5.048 0.000 -1.764 5.048 0.000 0.000 2.320 8.049" Properties=species:S:1:pos:R:3 comment="GGA-PBE Li4Cu3O6, optimized geometry" crystal_system=monoclinic final_energy_ev_per_atom=-5.0228 energy_corrected_mp2020_ev_per_atom=-5.3399 e_form_kcal_per_mol_atoms=-35.1 vol_a3_per_atom=11.02 pbc="T T T"
Li 0.000 8.456 2.056
Li 0.000 9.169 4.503
Li 0.000 4.002 6.229
Li 0.000 2.440 0.633
O 0.000 4.971 4.411
O 0.000 7.374 3.691
O 0.000 4.218 1.703
O 0.000 5.778 7.017
O 0.000 6.695 1.071
O 0.000 8.211 6.250
Cu 0.000 6.582 5.359
Cu 0.000 5.801 2.714
Cu 0.000 7.403 8.019



# 11
26
Lattice="4.150 5.052 0.000 -4.150 5.052 0.000 0.000 3.270 6.594" Properties=species:S:1:pos:R:3 comment="GGA-PBE Li4Cu3O6, optimized geometry" crystal_system=monoclinic final_energy_ev_per_atom=-5.0423 energy_corrected_mp2020_ev_per_atom=-5.3594 e_form_kcal_per_mol_atoms=-35.6 vol_a3_per_atom=10.63 pbc="T T T"
O 0.000 11.200 4.319
O -1.393 8.442 5.484
O 1.414 3.872 2.237
O 0.000 8.807 2.477
O -1.407 6.107 4.416
O -1.414 3.872 2.237
O 0.000 6.595 1.143
O 1.393 8.442 5.484
O 1.407 6.107 4.416
O -2.719 6.618 1.196
O 2.719 6.618 1.196
O 0.000 3.566 5.067
Cu 2.779 7.354 4.800
Cu -2.779 7.354 4.800
Cu 0.000 2.680 1.735
Cu -1.356 7.740 1.783
Cu 1.356 7.740 1.783
Cu 0.000 7.300 4.869
Li 1.345 4.774 5.827
Li 0.000 9.826 5.700
Li 2.791 5.146 3.129
Li -2.791 5.146 3.129
Li -1.345 4.774 5.827
Li 1.470 5.165 0.836
Li -1.470 5.165 0.836
Li 0.000 4.826 3.433



# 12
26
Lattice="0.817 -3.249 5.630 2.091 4.805 3.932 -5.213 1.847 4.847" Properties=species:S:1:pos:R:3 comment="GGA-PBE Li4Cu3O6, optimized geometry" crystal_system=monoclinic final_energy_ev_per_atom=-5.0304 energy_corrected_mp2020_ev_per_atom=-5.3475 e_form_kcal_per_mol_atoms=-35.3 vol_a3_per_atom=10.59 pbc="T T T"
O -3.823 0.541 6.570
O 1.518 2.862 7.839
O -1.406 4.729 8.067
O -0.006 0.709 3.360
O -2.236 -0.518 9.173
O -0.069 3.921 5.236
O -2.299 2.693 11.049
O -1.784 2.096 8.601
O -3.394 3.251 5.999
O 1.089 0.151 8.410
O -0.899 -1.327 6.342
O -0.521 1.307 5.808
Cu 1.055 1.812 9.386
Cu -3.360 1.591 5.023
Cu -0.122 2.342 4.283
Cu -0.542 -0.312 4.843
Cu -2.183 1.061 10.126
Cu -1.763 3.715 9.566
Li 1.597 3.965 6.179
Li -0.916 3.194 6.890
Li -1.389 0.209 7.519
Li -3.902 -0.562 8.230
Li 0.735 -1.486 7.328
Li -3.424 2.151 7.634
Li 1.119 1.251 6.775
Li -3.040 4.889 7.081



# 13
7
Lattice="2.855 0.000 0.000 0.000 2.855 0.000 0.000 0.000 8.800" Properties=species:S:1:pos:R:3 comment="GGA-PBE LiCu3O3, optimized geometry" crystal_system=tetragonal final_energy_ev_per_atom=-4.8754 energy_corrected_mp2020_ev_per_atom=-5.1699 e_form_kcal_per_mol_atoms=-23.5 vol_a3_per_atom=10.25 pbc="T T T"
Cu 0.000 0.000 8.702
Cu 0.000 0.000 4.661
Cu 1.428 1.428 2.050
O 0.000 0.000 6.903
O 0.000 0.000 1.787
O 1.428 1.428 4.424
Li 1.428 1.428 6.670



# 14
52
Lattice="7.018 0.000 0.000 0.000 5.103 0.000 0.000 0.339 17.519" Properties=species:S:1:pos:R:3 comment="GGA-PBE Li3Cu2P5O16, optimized geometry" crystal_system=monoclinic final_energy_ev_per_atom=-6.5858 energy_corrected_mp2020_ev_per_atom=-7.0086 e_form_kcal_per_mol_atoms=-55.0 vol_a3_per_atom=12.07 pbc="T T T"
O 0.132 3.383 6.358
O 3.893 2.495 15.587
O 4.298 4.895 16.412
O 0.618 4.936 10.029
O 2.699 1.088 3.624
O 5.655 1.911 0.305
O 1.363 2.081 9.065
O 3.125 2.325 6.827
O 3.125 2.948 1.933
O 6.400 0.507 7.490
O 0.942 4.297 3.453
O 1.363 3.532 17.214
O 4.796 4.146 6.228
O 6.076 1.146 14.066
O 2.720 0.548 1.107
O 6.400 4.766 1.269
O 2.222 1.297 11.291
O 2.720 4.725 7.653
O 5.655 3.362 8.454
O 0.618 0.677 16.250
O 0.132 1.890 2.402
O 4.298 0.717 9.866
O 4.319 1.257 12.383
O 2.222 4.315 14.988
O 6.887 3.552 15.117
O 4.319 4.355 13.895
O 6.076 4.467 12.212
O 2.699 4.185 5.136
O 6.887 2.060 11.161
O 3.893 3.117 10.692
O 4.796 1.128 2.531
O 0.942 0.976 5.307
Cu 5.828 1.623 15.978
Cu 1.190 3.820 1.541
Cu 5.828 3.989 10.301
Cu 1.190 1.453 7.218
P 5.284 0.254 13.139
P 6.133 1.146 1.568
P 0.885 4.296 15.951
P 6.133 4.127 7.191
P 3.276 1.451 2.168
P 3.743 3.991 15.351
P 3.276 3.822 6.592
P 1.734 0.085 4.380
P 3.743 1.621 10.927
P 0.885 1.316 10.328
Li 2.299 3.917 9.413
Li 4.719 1.526 8.106
Li 0.171 2.637 4.380
Li 6.847 2.806 13.139
Li 4.719 3.748 0.654
Li 2.299 1.695 16.865